No. 1
Mg6ZnCO8 | GGA-PBE | optimized geometry

offset from the most stable computed form: 0 meV per atom
magnetic moment: 0.00 μB/atom
calculated formation energy: -36.05 eV/f.u.
SG: No. 123

a b c (Å): 4.231 4.231 8.524
angles (deg): 90.00 90.00 90.00
Positions (direct):
Mg  0.000  0.000  0.000
Mg  0.000  0.000  0.500
Mg  0.000  0.500  0.246
Mg  0.000  0.500  0.754
Mg  0.500  0.000  0.246
Mg  0.500  0.000  0.754
Zn  0.500  0.500  0.500
C  0.500  0.500  0.000
O  0.000  0.000  0.249
O  0.000  0.000  0.751
O  0.000  0.500  0.000
O  0.000  0.500  0.500
O  0.500  0.000  0.000
O  0.500  0.000  0.500
O  0.500  0.500  0.247
O  0.500  0.500  0.753

No. 2
K2LiTaCl6 | GGA-PBE | optimized geometry

magnetic moment: 0.20 μB/atom
calculated formation energy: -18.97 eV/f.u.
SG: No. 225

a b c (Å): 7.130 7.130 7.130
angles (deg): 60.00 60.00 60.00
Positions (direct):
K  0.250  0.250  0.250
K  0.750  0.750  0.750
Li  0.000  0.000  0.000
Ta  0.500  0.500  0.500
Cl  0.254  0.254  0.746
Cl  0.254  0.746  0.254
Cl  0.254  0.746  0.746
Cl  0.746  0.254  0.254
Cl  0.746  0.254  0.746
Cl  0.746  0.746  0.254

No. 3
CsCa3 | GGA-PBE | optimized geometry

magnetic moment: 0.04 μB/atom
calculated formation energy: 1.04 eV/f.u.
SG: No. 225

a b c (Å): 6.589 6.589 6.589
angles (deg): 60.00 60.00 60.00
Positions (direct):
Cs  0.000  0.000  0.000
Ca  0.250  0.250  0.250
Ca  0.500  0.500  0.500
Ca  0.750  0.750  0.750

No. 4
Ba6Cu11F34 | GGA-PBE | optimized geometry

calculated formation energy: -135.61 eV/f.u.
SG: No. 2

a b c (Å): 7.577 10.159 10.449
angles (deg): 83.99 74.45 70.30
Positions (direct):
Ba  0.138  0.411  0.285
Ba  0.168  0.157  0.972
Ba  0.282  0.862  0.647
Ba  0.718  0.138  0.353
Ba  0.832  0.843  0.028
Ba  0.862  0.589  0.715
Cu  0.202  0.756  0.271
Cu  0.239  0.241  0.620
Cu  0.314  0.489  0.818
Cu  0.317  0.019  0.294
Cu  0.400  0.758  0.974
Cu  0.500  0.500  0.500
Cu  0.600  0.242  0.026
Cu  0.683  0.981  0.706
Cu  0.686  0.511  0.182
Cu  0.761  0.759  0.380
Cu  0.798  0.244  0.729
F  0.013  0.359  0.564
F  0.039  0.116  0.758
F  0.062  0.611  0.892
F  0.080  0.146  0.261
F  0.173  0.883  0.922
F  0.181  0.364  0.770
F  0.203  0.883  0.397
F  0.213  0.643  0.135
F  0.254  0.604  0.612
F  0.306  0.103  0.489
F  0.352  0.347  0.996
F  0.383  0.907  0.086
F  0.400  0.359  0.461
F  0.425  0.106  0.706
F  0.434  0.156  0.214
F  0.437  0.626  0.835
F  0.442  0.622  0.300
F  0.558  0.378  0.700
F  0.563  0.374  0.165
F  0.566  0.844  0.786
F  0.575  0.894  0.294
F  0.600  0.641  0.539
F  0.617  0.093  0.914
F  0.648  0.653  0.004
F  0.694  0.897  0.511
F  0.746  0.396  0.388
F  0.787  0.357  0.865
F  0.797  0.117  0.603
F  0.819  0.636  0.230
F  0.827  0.117  0.078
F  0.920  0.854  0.739
F  0.938  0.389  0.108
F  0.961  0.884  0.242
F  0.987  0.641  0.436

No. 5
LaPrIr2 | GGA-PBE | optimized geometry

magnetic moment: 0.00 μB/atom
calculated formation energy: -2.21 eV/f.u.
SG: No. 225

a b c (Å): 5.075 5.075 5.075
angles (deg): 60.00 60.00 60.00
Positions (direct):
La  0.000  0.000  0.000
Pr  0.500  0.500  0.500
Ir  0.250  0.250  0.250
Ir  0.750  0.750  0.750

No. 6
Ti4Al2CN | GGA-PBE | optimized geometry

magnetic moment: 0.00 μB/atom
calculated formation energy: -7.82 eV/f.u.
SG: No. 164

a b c (Å): 3.037 3.037 13.644
angles (deg): 90.00 90.00 120.00
Positions (direct):
Ti  0.333  0.667  0.084
Ti  0.333  0.667  0.416
Ti  0.667  0.333  0.584
Ti  0.667  0.333  0.916
Al  0.333  0.667  0.751
Al  0.667  0.333  0.249
C  0.000  0.000  0.500
N  0.000  0.000  0.000

No. 7
Fe11Co5 | GGA-PBE | optimized geometry

calculated formation energy: -0.91 eV/f.u.
SG: No. 123

a b c (Å): 5.712 5.712 5.706
angles (deg): 90.00 90.00 90.00
Positions (direct):
Fe  0.000  0.000  0.000
Fe  0.000  0.000  0.500
Fe  0.250  0.250  0.250
Fe  0.250  0.250  0.750
Fe  0.250  0.750  0.250
Fe  0.250  0.750  0.750
Fe  0.500  0.500  0.000
Fe  0.750  0.250  0.250
Fe  0.750  0.250  0.750
Fe  0.750  0.750  0.250
Fe  0.750  0.750  0.750
Co  0.000  0.500  0.000
Co  0.000  0.500  0.500
Co  0.500  0.000  0.000
Co  0.500  0.000  0.500
Co  0.500  0.500  0.500

No. 8
MnCrP2 | GGA-PBE | optimized geometry

magnetic moment: 0.30 μB/atom
calculated formation energy: -2.23 eV/f.u.
SG: No. 26

a b c (Å): 3.011 5.953 5.310
angles (deg): 90.00 90.00 90.00
Positions (direct):
Mn  0.000  0.058  0.000
Mn  0.000  0.942  0.500
Cr  0.500  0.449  0.989
Cr  0.500  0.551  0.489
P  0.000  0.307  0.678
P  0.000  0.693  0.178
P  0.500  0.182  0.306
P  0.500  0.818  0.806

Number 1: volume 9.53 A^3/atom. Number 2: volume 25.63 A^3/atom. Number 3: volume 50.58 A^3/atom. Number 4: volume 14.30 A^3/atom. Number 5: volume 23.11 A^3/atom. Number 6: volume 13.63 A^3/atom. Number 7: volume 11.63 A^3/atom. Number 8: volume 11.90 A^3/atom.